(1)
Below is a relaxed structure of Tc3Sn, with properties calculated at the GGA-PBE level.

The structure in extended XYZ format:
```
8
Lattice="5.653 0.000 0.000 -2.827 4.896 0.000 0.000 0.000 4.603" Properties=species:S:1:pos:R:3 pbc="T T T"
Tc 0.000 1.615 1.151
Tc -1.428 4.089 1.151
Tc 1.399 0.807 3.452
Tc 1.428 4.089 1.151
Tc 4.255 0.807 3.452
Tc 2.827 3.281 3.452
Sn 0.000 3.264 3.452
Sn 2.827 1.632 1.151
```

Summary:
energy above the most stable polymorph in this dataset	0.0285	eV per atom
calculated total energy	-8.54	eV/atom
calculated density	10.8	g cm⁻³
total magnetization	0.072	μB/atom
symmetry	P6_3/mmc (194)

(2)
Below is a relaxed structure of SrNi2N2, with properties calculated at the GGA-PBE level.

The structure in extended XYZ format:
```
5
Lattice="3.415 0.000 0.000 -1.707 2.957 0.000 0.000 0.000 6.058" Properties=species:S:1:pos:R:3 pbc="T T T"
Sr 0.000 0.000 0.000
Ni 0.000 1.971 2.314
Ni 1.707 0.986 3.744
N 0.000 1.971 4.265
N 1.707 0.986 1.794
```

Summary:
calculated total energy	-6.01	eV/atom
calculated density	6.3	g cm⁻³
total magnetization	0.002	μB/atom
symmetry	P-3m1 (164)

(3)
Below is a relaxed structure of Te4As2I2O, with properties calculated at the GGA-PBE level.

The structure in extended XYZ format:
```
9
Lattice="6.899 0.000 0.000 3.438 6.191 0.000 1.886 2.448 8.358" Properties=species:S:1:pos:R:3 pbc="T T T"
Te 0.000 0.000 0.000
Te 4.517 6.229 3.743
Te 5.303 4.044 7.852
Te 9.033 6.483 8.082
As 1.343 2.034 1.062
As 7.950 6.085 1.188
I 2.766 4.049 4.239
I 5.939 1.981 3.982
O 5.463 6.354 5.296
```

Summary:
calculated total energy	-3.39	eV/atom
calculated density	4.3	g cm⁻³
total magnetization	0.000	μB/atom
symmetry	P1 (1)

(4)
Below is a relaxed structure of Na6MgBi2O8, with properties calculated at the GGA-PBE level.

The structure in extended XYZ format:
```
17
Lattice="6.061 0.000 0.000 -2.361 5.785 0.000 -0.214 -0.334 6.937" Properties=species:S:1:pos:R:3 pbc="T T T"
Na 0.000 0.000 0.000
Na -2.188 4.977 4.276
Na 1.579 2.808 0.318
Na 0.589 5.435 5.570
Na 4.150 3.474 1.628
Na 4.619 2.351 5.740
Mg 5.219 0.993 2.491
Bi 0.435 5.574 1.988
Bi 1.697 2.606 4.027
O 0.586 1.239 5.270
O -0.308 4.108 3.383
O 1.039 1.079 1.953
O -0.252 4.487 0.328
O 3.577 1.147 3.700
O 2.627 3.682 5.667
O 2.451 4.785 2.272
O 3.997 1.280 0.844
```

Summary:
energy above the most stable polymorph in this dataset	0.0296	eV per atom
calculated total energy	-4.77	eV/atom
calculated density	4.8	g cm⁻³
total magnetization	0.000	μB/atom
symmetry	P1 (1)

(5)
Below is a relaxed structure of CeY4S7, with properties calculated at the GGA-PBE level.

The structure in extended XYZ format:
```
12
Lattice="6.531 -1.910 0.000 6.531 1.910 0.000 -2.938 0.000 11.326" Properties=species:S:1:pos:R:3 pbc="T T T"
Ce 0.000 0.000 0.000
Y 0.204 0.000 8.689
Y 6.527 0.000 4.450
Y 9.651 0.000 1.845
Y 9.903 0.000 6.556
S 1.269 0.000 2.630
S 1.443 0.000 5.984
S 4.777 0.000 0.947
S 5.277 0.000 7.162
S 5.568 0.000 10.548
S 8.690 0.000 8.956
S 11.094 0.000 4.144
```

Summary:
calculated total energy	-7.10	eV/atom
calculated density	4.2	g cm⁻³
total magnetization	0.106	μB/atom
symmetry	Cm (8)

(6)
Below is a relaxed structure of Dy6Al43W4, with properties calculated at the GGA-PBE level.

The structure in extended XYZ format:
```
106
Lattice="11.060 0.000 0.000 -5.530 9.578 0.000 0.000 0.000 17.608" Properties=species:S:1:pos:R:3 pbc="T T T"
Dy -2.594 4.493 1.684
Dy -2.594 4.493 7.120
Dy -2.936 5.085 10.488
Dy -2.936 5.085 15.925
Dy 5.188 0.000 1.684
Dy 5.188 0.000 7.120
Dy 2.594 4.493 10.488
Dy 2.594 4.493 15.925
Dy 5.872 0.000 10.488
Dy 5.872 0.000 15.925
Dy 2.936 5.085 1.684
Dy 2.936 5.085 7.120
Al -0.817 1.415 13.206
Al -0.883 1.529 2.020
Al -0.883 1.529 6.784
Al -1.406 2.435 9.348
Al -1.406 2.435 17.065
Al -4.124 7.144 0.544
Al -4.124 7.144 8.261
Al -4.648 8.050 10.824
Al -4.648 8.050 15.588
Al -4.713 8.163 4.402
Al -1.426 5.286 4.402
Al -1.665 5.701 13.206
Al 1.634 0.000 13.206
Al 0.817 1.415 4.402
Al -0.430 3.783 11.684
Al -0.430 3.783 14.728
Al -2.469 7.315 2.880
Al -2.469 7.315 5.924
Al 1.765 0.000 2.020
Al 1.765 0.000 6.784
Al 0.883 1.529 10.824
Al 0.883 1.529 15.588
Al 0.430 3.783 2.880
Al 0.430 3.783 5.924
Al -2.039 8.060 11.684
Al -2.039 8.060 14.728
Al 0.000 4.730 0.000
Al 0.000 4.730 8.804
Al -1.434 7.214 0.000
Al -1.434 7.214 8.804
Al 2.812 0.000 9.348
Al 2.812 0.000 17.065
Al 1.406 2.435 0.544
Al 1.406 2.435 8.261
Al 0.000 6.386 2.223
Al 0.000 6.386 6.581
Al 0.000 6.386 11.027
Al 0.000 6.386 15.385
Al 3.491 1.519 11.684
Al 3.491 1.519 14.728
Al 3.061 2.264 2.880
Al 3.061 2.264 5.924
Al 1.426 5.286 13.206
Al -0.239 8.170 4.402
Al 1.665 5.701 4.402
Al 0.239 8.170 13.206
Al 4.096 2.365 0.000
Al 4.096 2.365 8.804
Al 1.434 7.214 0.000
Al 1.434 7.214 8.804
Al 5.291 1.408 4.402
Al 3.865 3.878 13.206
Al 5.769 1.408 13.206
Al 4.104 4.292 4.402
Al 2.469 7.315 11.684
Al 2.469 7.315 14.728
Al 2.039 8.060 2.880
Al 2.039 8.060 5.924
Al 5.530 3.193 2.223
Al 5.530 3.193 6.581
Al 5.530 3.193 11.027
Al 5.530 3.193 15.385
Al 8.249 0.000 0.544
Al 8.249 0.000 8.261
Al 4.124 7.144 9.348
Al 4.124 7.144 17.065
Al 6.964 2.365 0.000
Al 6.964 2.365 8.804
Al 5.530 4.849 0.000
Al 5.530 4.849 8.804
Al 7.569 1.519 2.880
Al 7.569 1.519 5.924
Al 5.100 5.796 11.684
Al 5.100 5.796 14.728
Al 9.295 0.000 10.824
Al 9.295 0.000 15.588
Al 4.648 8.050 2.020
Al 4.648 8.050 6.784
Al 7.999 2.264 11.684
Al 7.999 2.264 14.728
Al 5.960 5.796 2.880
Al 5.960 5.796 5.924
Al 9.426 0.000 4.402
Al 4.713 8.163 13.206
Al 7.195 3.878 4.402
Al 6.956 4.292 13.206
W 0.000 0.000 0.000
W 0.000 0.000 8.804
W -1.497 2.593 4.402
W -4.033 6.985 13.206
W 2.994 0.000 4.402
W 1.497 2.593 13.206
W 8.066 0.000 13.206
W 4.033 6.985 4.402
```

Summary:
calculated total energy	-4.81	eV/atom
calculated density	5.1	g cm⁻³
total magnetization	0.001	μB/atom
symmetry	P6_3/mcm (193)

(7)
Below is a relaxed structure of BPO4, with properties calculated at the GGA-PBE level.

The structure in extended XYZ format:
```
12
Lattice="4.442 0.000 0.000 0.000 4.442 0.000 0.000 0.000 6.710" Properties=species:S:1:pos:R:3 pbc="T T T"
B 0.000 0.000 0.000
B 2.221 2.221 3.355
P 0.000 2.221 1.677
P 2.221 0.000 5.032
O 0.580 1.073 0.826
O 1.073 3.862 5.884
O 1.148 2.801 2.529
O 1.641 1.148 4.181
O 2.801 3.294 4.181
O 3.294 1.641 2.529
O 3.369 0.580 5.884
O 3.862 3.369 0.826
```

Summary:
energy above the most stable polymorph in this dataset	0.0000	eV per atom
calculated total energy	-7.62	eV/atom
calculated density	2.7	g cm⁻³
maximum piezoelectric response	0.4	C/m²
symmetry	I-4 (82)

(8)
Below is a relaxed structure of LiZn3, with properties calculated at the GGA-PBE level.

The structure in extended XYZ format:
```
8
Lattice="5.525 0.000 0.000 -2.763 4.785 0.000 0.000 0.000 4.435" Properties=species:S:1:pos:R:3 pbc="T T T"
Li 0.000 3.190 1.109
Li 2.763 1.595 3.326
Zn 0.000 1.606 3.326
Zn -1.372 3.982 3.326
Zn 1.391 0.803 1.109
Zn 1.372 3.982 3.326
Zn 4.134 0.803 1.109
Zn 2.763 3.179 1.109
```

Summary:
calculated total energy	-1.59	eV/atom
calculated density	5.8	g cm⁻³
symmetry	P6_3/mmc (194)

Question: Number 7 is which compound?
Answer: BPO4

Question: What is the calculated density in the eighth record?
Answer: 5.8 g cm⁻³

Question: Which value of calculated total energy does entry 8 give?
Answer: -1.59 eV/atom

Question: calculated total energy of number 7 (BPO4)?
Answer: -7.62 eV/atom